# 1
NaCr2S4, optimized geometry, DFT GGA-PBE; DFT total energy = -0.220 hartree per atom; E_form = -967 meV/atom
1.0
-3.887 3.887 4.441
3.887 -3.887 4.441
3.887 3.887 -4.441
Na Cr S
2 4 8
direct
0.375 0.625 0.750
0.625 0.375 0.250
0.000 0.000 0.000
0.000 0.000 0.500
0.000 0.500 0.000
0.500 0.000 0.500
0.177 0.738 0.439
0.201 0.262 0.939
0.262 0.201 0.439
0.262 0.823 0.061
0.738 0.177 0.939
0.738 0.799 0.561
0.799 0.738 0.061
0.823 0.262 0.561

***

# 2
NaCr2S4, optimized geometry, DFT GGA-PBE; DFT total energy = -0.216 hartree per atom; E_form = -865 meV/atom
1.0
6.417 0.000 0.000
0.082 8.039 0.000
0.802 1.818 12.105
Na Cr S
4 8 16
direct
0.139 0.208 0.181
0.256 0.369 0.506
0.744 0.631 0.494
0.861 0.792 0.819
0.153 0.709 0.210
0.237 0.895 0.499
0.358 0.553 0.794
0.367 0.057 0.793
0.633 0.943 0.207
0.642 0.447 0.206
0.763 0.105 0.501
0.847 0.291 0.790
0.080 0.121 0.401
0.150 0.692 0.386
0.183 0.291 0.844
0.274 0.790 0.861
0.328 0.508 0.143
0.331 0.929 0.130
0.359 0.637 0.619
0.423 0.060 0.611
0.577 0.940 0.389
0.641 0.363 0.381
0.669 0.071 0.870
0.672 0.492 0.857
0.726 0.210 0.139
0.817 0.709 0.156
0.850 0.308 0.614
0.920 0.879 0.599

***

# 3
NaCr2S4, optimized geometry, DFT GGA-PBE; DFT total energy = -0.216 hartree per atom; E_form = -864 meV/atom
1.0
11.589 0.000 0.000
0.000 7.264 0.000
0.000 0.000 12.057
Na Cr S
8 16 32
direct
0.086 0.116 0.000
0.117 0.624 0.659
0.383 0.624 0.159
0.414 0.116 0.500
0.586 0.884 0.000
0.617 0.376 0.659
0.883 0.376 0.159
0.914 0.884 0.500
0.119 0.630 0.025
0.130 0.390 0.324
0.135 0.149 0.655
0.154 0.882 0.269
0.346 0.882 0.769
0.365 0.149 0.155
0.370 0.390 0.824
0.381 0.630 0.525
0.619 0.370 0.025
0.630 0.610 0.324
0.635 0.851 0.655
0.654 0.118 0.269
0.846 0.118 0.769
0.865 0.851 0.155
0.870 0.610 0.824
0.881 0.370 0.525
0.001 0.064 0.229
0.013 0.563 0.448
0.029 0.646 0.208
0.048 0.188 0.478
0.208 0.376 0.133
0.238 0.137 0.828
0.239 0.892 0.101
0.242 0.645 0.864
0.258 0.645 0.364
0.261 0.892 0.601
0.262 0.137 0.328
0.292 0.376 0.633
0.452 0.188 0.978
0.471 0.646 0.708
0.487 0.563 0.948
0.499 0.064 0.729
0.501 0.936 0.229
0.513 0.437 0.448
0.529 0.354 0.208
0.548 0.812 0.478
0.708 0.624 0.133
0.738 0.863 0.828
0.739 0.108 0.101
0.742 0.355 0.864
0.758 0.355 0.364
0.761 0.108 0.601
0.762 0.863 0.328
0.792 0.624 0.633
0.952 0.812 0.978
0.971 0.354 0.708
0.987 0.437 0.948
0.999 0.936 0.729

***

# 4
NaCr2S4, optimized geometry, DFT GGA-PBE; DFT total energy = -0.224 hartree per atom; E_form = -1084 meV/atom
1.0
6.888 0.000 0.000
0.000 14.053 0.000
0.000 0.000 5.922
Na Cr S
4 8 16
direct
0.250 0.250 0.027
0.250 0.750 0.323
0.750 0.250 0.677
0.750 0.750 0.973
0.000 0.000 0.500
0.000 0.500 0.500
0.250 0.503 0.986
0.250 0.997 0.986
0.500 0.000 0.500
0.500 0.500 0.500
0.750 0.003 0.014
0.750 0.497 0.014
0.000 0.096 0.836
0.000 0.404 0.836
0.000 0.596 0.164
0.000 0.904 0.164
0.250 0.092 0.330
0.250 0.408 0.330
0.250 0.597 0.662
0.250 0.903 0.662
0.500 0.096 0.836
0.500 0.404 0.836
0.500 0.596 0.164
0.500 0.904 0.164
0.750 0.097 0.338
0.750 0.403 0.338
0.750 0.592 0.670
0.750 0.908 0.670

***

# 5
NaCr2S4, optimized geometry, DFT GGA-PBE; DFT total energy = -0.224 hartree per atom; E_form = -1074 meV/atom
1.0
5.903 0.000 0.000
0.000 3.457 0.000
-0.011 0.000 6.837
Na Cr S
1 2 4
direct
0.000 0.000 0.000
0.000 0.000 0.500
0.500 0.500 0.500
0.166 0.500 0.695
0.334 0.000 0.306
0.666 0.000 0.694
0.834 0.500 0.305

***

# 6
NaCrS2, optimized geometry, DFT GGA-PBE; DFT total energy = -0.212 hartree per atom; E_form = -1198 meV/atom
1.0
1.797 1.038 6.484
-1.797 1.038 6.484
0.000 -2.075 6.484
Na Cr S
1 1 2
direct
0.000 0.000 0.000
0.500 0.500 0.500
0.232 0.232 0.232
0.768 0.768 0.768

***

# 7
NaCr2S4, optimized geometry, DFT GGA-PBE; DFT total energy = -0.223 hartree per atom; E_form = -1039 meV/atom
1.0
7.191 -1.690 0.000
7.191 1.690 0.000
-1.749 0.000 5.354
Na Cr S
1 2 4
direct
0.000 0.000 0.000
0.253 0.253 0.297
0.747 0.747 0.703
0.141 0.141 0.501
0.337 0.337 0.984
0.663 0.663 0.016
0.859 0.859 0.499

***

# 8
NaCr2S4, optimized geometry, DFT GGA-PBE; DFT total energy = -0.221 hartree per atom; E_form = -978 meV/atom
1.0
0.000 5.197 5.197
5.197 0.000 5.197
5.197 5.197 0.000
Na Cr S
2 4 8
direct
0.125 0.125 0.125
0.875 0.875 0.875
0.000 0.500 0.500
0.500 0.000 0.500
0.500 0.500 0.000
0.500 0.500 0.500
0.269 0.269 0.269
0.269 0.269 0.692
0.269 0.692 0.269
0.308 0.731 0.731
0.692 0.269 0.269
0.731 0.308 0.731
0.731 0.731 0.308
0.731 0.731 0.731

***

# 9
NaCr2S4, optimized geometry, DFT GGA-PBE; DFT total energy = -0.223 hartree per atom; E_form = -1048 meV/atom
1.0
10.962 0.000 0.000
0.000 3.531 0.000
0.000 0.000 12.764
Na Cr S
4 8 16
direct
0.239 0.250 0.165
0.261 0.750 0.665
0.739 0.250 0.335
0.761 0.750 0.835
0.059 0.250 0.387
0.083 0.250 0.898
0.417 0.750 0.398
0.441 0.750 0.887
0.559 0.250 0.113
0.583 0.250 0.602
0.917 0.750 0.102
0.941 0.750 0.613
0.028 0.750 0.785
0.081 0.250 0.571
0.115 0.750 0.020
0.201 0.750 0.353
0.299 0.250 0.853
0.385 0.250 0.520
0.419 0.750 0.071
0.472 0.250 0.285
0.528 0.750 0.715
0.581 0.250 0.929
0.615 0.750 0.480
0.701 0.750 0.147
0.799 0.250 0.647
0.885 0.250 0.980
0.919 0.750 0.429
0.972 0.250 0.215

***

# 10
NaCr2S4, optimized geometry, DFT GGA-PBE; DFT total energy = -0.222 hartree per atom; E_form = -1007 meV/atom
1.0
11.524 0.000 0.000
0.000 3.524 0.000
0.000 0.000 12.271
Na Cr S
4 8 16
direct
0.135 0.250 0.087
0.365 0.750 0.587
0.635 0.250 0.413
0.865 0.750 0.913
0.103 0.750 0.420
0.152 0.750 0.795
0.348 0.250 0.295
0.397 0.250 0.920
0.603 0.750 0.080
0.652 0.750 0.705
0.848 0.250 0.205
0.897 0.250 0.580
0.035 0.750 0.616
0.044 0.250 0.865
0.212 0.750 0.253
0.234 0.250 0.461
0.266 0.750 0.961
0.288 0.250 0.753
0.456 0.750 0.365
0.465 0.250 0.116
0.535 0.750 0.884
0.544 0.250 0.635
0.712 0.750 0.247
0.734 0.250 0.039
0.766 0.750 0.539
0.788 0.250 0.747
0.956 0.750 0.135
0.965 0.250 0.384

***

# 11
Na3Cr11Se20, optimized geometry, DFT GGA-PBE; DFT total energy = -0.215 hartree per atom; E_form = -829 meV/atom
1.0
12.830 -1.841 0.000
12.830 1.841 0.000
-11.441 0.000 15.751
Na Cr Se
3 11 20
direct
0.000 0.000 0.000
0.392 0.392 0.790
0.599 0.599 0.204
0.028 0.028 0.567
0.134 0.134 0.540
0.219 0.219 0.965
0.320 0.320 0.376
0.333 0.333 0.947
0.522 0.522 0.779
0.533 0.533 0.353
0.722 0.722 0.173
0.732 0.732 0.753
0.918 0.918 0.584
0.933 0.933 0.157
0.003 0.003 0.848
0.013 0.013 0.424
0.041 0.041 0.706
0.050 0.050 0.278
0.207 0.207 0.252
0.215 0.215 0.828
0.246 0.246 0.110
0.246 0.246 0.676
0.404 0.404 0.654
0.413 0.413 0.225
0.442 0.442 0.506
0.449 0.449 0.078
0.611 0.611 0.057
0.612 0.612 0.623
0.642 0.642 0.914
0.651 0.651 0.473
0.807 0.807 0.455
0.812 0.812 0.022
0.838 0.838 0.304
0.850 0.850 0.874

***

# 12
Na4Cr13Se23, optimized geometry, DFT GGA-PBE; DFT total energy = -0.215 hartree per atom; E_form = -844 meV/atom
1.0
12.958 -1.842 0.000
12.958 1.842 0.000
-1.507 0.000 18.821
Na Cr Se
4 13 23
direct
0.000 0.000 0.000
0.000 0.000 0.328
0.003 0.003 0.656
0.500 0.500 0.828
0.138 0.138 0.348
0.139 0.139 0.010
0.139 0.139 0.679
0.355 0.355 0.704
0.361 0.361 0.031
0.361 0.361 0.372
0.632 0.632 0.171
0.633 0.633 0.506
0.640 0.640 0.843
0.749 0.749 0.189
0.754 0.754 0.519
0.860 0.860 0.866
0.866 0.866 0.206
0.081 0.081 0.115
0.081 0.081 0.448
0.082 0.082 0.782
0.191 0.191 0.905
0.193 0.193 0.237
0.194 0.194 0.571
0.306 0.306 0.139
0.306 0.306 0.476
0.307 0.307 0.808
0.416 0.416 0.265
0.417 0.417 0.929
0.583 0.583 0.614
0.583 0.583 0.950
0.586 0.586 0.283
0.691 0.691 0.738
0.693 0.693 0.071
0.693 0.693 0.406
0.807 0.807 0.306
0.808 0.808 0.970
0.810 0.810 0.640
0.914 0.914 0.096
0.915 0.915 0.425
0.918 0.918 0.752